# 1
Below is a geometry-optimized PrGe2Pt structure, with properties calculated at the GGA-PBE level.

DFT formation energy ... -3.6 eV per formula unit

Cell: 4.460 8.896 16.697 Å, 90.00 90.00 90.00°
Space group Immm (No. 71)
Inequivalent atoms, fractional coordinates:
Pr 0.000 0.000 0.203 x4
Pr 0.000 0.238 0.000 x4
Ge 0.000 0.000 0.426 x4
Ge 0.000 0.348 0.199 x8
Ge 0.000 0.500 0.425 x4
Pt 0.000 0.247 0.351 x8

---

# 2
Below is a geometry-optimized RhPb structure, with properties calculated at the GGA-PBE level.

DFT formation energy ... -0.2 eV per formula unit

Cell: 5.7708 5.7708 4.5221 Å, 90.00 90.00 120.00°
Space group P6/mmm (No. 191)
Inequivalent atoms, fractional coordinates:
Rh 0.0000 0.5000 0.0000 x3
Pb 0.0000 0.0000 0.0000 x1
Pb 0.3333 0.6667 0.5000 x2

---

# 3
Below is a geometry-optimized SbTe3O8 structure, with properties calculated at the GGA-PBE level.

Energy with MP2020 corrections ... -571.1 eV/cell
DFT formation energy ... -18.2 eV per formula unit

Cell: 11.460 11.460 11.460 Å, 90.00 90.00 90.00°
Space group Ia-3 (No. 206)
Inequivalent atoms, fractional coordinates:
Sb 0.250 0.250 0.250 x8
Te 0.000 0.250 0.045 x24
O 0.086 0.086 0.086 x16
O 0.113 0.179 0.646 x48

---

# 4
Below is a geometry-optimized MgTi2O4 structure, with properties calculated at the GGA-PBE level.

Energy with MP2020 corrections ... -477.9 eV/cell
DFT formation energy ... -22.5 eV per formula unit

Cell: 8.542 8.542 8.542 Å, 90.00 90.00 90.00°
Space group Fd-3m (No. 227, origin choice 2)
Inequivalent atoms, fractional coordinates:
Mg 0.125 0.125 0.125 x8
Ti 0.000 0.000 0.500 x16
O 0.008 0.008 0.742 x32

---

# 5
Below is a geometry-optimized ErAg2 structure, with properties calculated at the GGA-PBE level.

DFT formation energy ... -1.0 eV per formula unit

Cell: 3.730 3.730 9.196 Å, 90.00 90.00 90.00°
Space group I4/mmm (No. 139)
Inequivalent atoms, fractional coordinates:
Er 0.000 0.000 0.000 x2
Ag 0.000 0.000 0.332 x4

---

# 6
Below is a geometry-optimized Zn3P4H24C6N2O12 structure, with properties calculated at the GGA-PBE level.

Energy with MP2020 corrections ... -1157.7 eV/cell
DFT formation energy ... -51.1 eV per formula unit

Cell: 16.665 8.699 17.462 Å, 90.00 114.77 90.00°
Space group C2/c (No. 15)
Inequivalent atoms, fractional coordinates:
Zn 0.000 0.158 0.250 x4
Zn 0.134 0.121 0.521 x8
P 0.007 0.094 0.622 x8
P 0.148 0.384 0.395 x8
H 0.013 0.215 0.835 x8
H 0.054 0.482 0.119 x8
H 0.055 0.361 0.036 x8
H 0.099 0.477 0.874 x8
H 0.102 0.294 0.143 x8
H 0.167 0.454 0.568 x8
H 0.178 0.373 0.704 x8
H 0.201 0.105 0.890 x8
H 0.202 0.289 0.041 x8
H 0.215 0.087 0.293 x8
H 0.234 0.450 0.249 x8
H 0.250 0.246 0.848 x8
C 0.091 0.395 0.102 x8
C 0.222 0.463 0.700 x8
C 0.237 0.342 0.104 x8
N 0.178 0.462 0.115 x8
O 0.048 0.039 0.184 x8
O 0.074 0.166 0.593 x8
O 0.084 0.056 0.949 x8
O 0.106 0.273 0.321 x8
O 0.138 0.332 0.477 x8
O 0.241 0.427 0.409 x8

---

# 7
Below is a geometry-optimized Mg3BO4 structure, with properties calculated at the GGA-PBE level.

Energy with MP2020 corrections ... -48.8 eV/cell
DFT formation energy ... -17.5 eV per formula unit

Cell: 4.179 4.179 4.179 Å, 90.00 90.00 90.00°
Space group Pm-3m (No. 221)
Inequivalent atoms, fractional coordinates:
Mg 0.000 0.000 0.500 x3
B 0.500 0.500 0.500 x1
O 0.000 0.000 0.000 x1
O 0.000 0.500 0.500 x3

---

# 8
Below is a geometry-optimized LiTiP4O12 structure, with properties calculated at the GGA-PBE level.

Energy with MP2020 corrections ... -558.6 eV/cell
DFT formation energy ... -48.8 eV per formula unit

Cell: 17.205 12.094 5.270 Å, 90.00 101.09 90.00°
Space group C2/m (No. 12)
Inequivalent atoms, fractional coordinates:
Li 0.065 0.000 0.135 x4
Ti 0.250 0.250 0.500 x4
P 0.075 0.209 0.673 x8
P 0.184 0.379 0.963 x8
O 0.000 0.272 0.500 x4
O 0.050 0.113 0.814 x8
O 0.105 0.309 0.877 x8
O 0.136 0.193 0.502 x8
O 0.149 0.500 0.885 x4
O 0.209 0.373 0.252 x8
O 0.247 0.353 0.808 x8

---

# 9
Below is a geometry-optimized CsMgH3 structure, with properties calculated at the GGA-PBE level.

Energy with MP2020 corrections ... -86.0 eV/cell
DFT formation energy ... -1.7 eV per formula unit

Cell: 6.158 10.019 8.611 Å, 90.00 90.00 90.00°
Space group Pmmn (No. 59, origin choice 2)
Inequivalent atoms, fractional coordinates:
Cs 0.250 0.029 0.166 x4
Cs 0.250 0.250 0.682 x2
Mg 0.250 0.611 0.573 x4
Mg 0.250 0.750 0.865 x2
H 0.000 0.000 0.500 x4
H 0.015 0.750 0.002 x4
H 0.049 0.750 0.667 x4
H 0.250 0.551 0.792 x4
H 0.250 0.750 0.406 x2

---

# 10
Below is a geometry-optimized HoBiRh structure, with properties calculated at the GGA-PBE level.

DFT formation energy ... -2.2 eV per formula unit

Cell: 7.6781 7.6781 3.9742 Å, 90.00 90.00 120.00°
Space group P-62m (No. 189)
Inequivalent atoms, fractional coordinates:
Ho 0.0000 0.6005 0.0000 x3
Bi 0.0000 0.2650 0.5000 x3
Rh 0.0000 0.0000 0.0000 x1
Rh 0.3333 0.6667 0.5000 x2

---

# 11
Below is a geometry-optimized LiAl structure, with properties calculated at the GGA-PBE level.

DFT formation energy ... -0.4 eV per formula unit

Cell: 6.356 6.356 6.356 Å, 90.00 90.00 90.00°
Space group Fd-3m (No. 227, origin choice 2)
Inequivalent atoms, fractional coordinates:
Li 0.125 0.125 0.125 x8
Al 0.125 0.125 0.625 x8